{
  "formula": "Na3CaInSiS2O12",
  "functional": "PBE",
  "state": "optimized geometry",
  "delta_e_f_ev_per_atom": -2.37,
  "lattice": [[8.106, -4.681, 0.000], [8.106, 4.681, 0.000], [-0.320, 0.000, 22.850]],
  "species": ["Na", "Na", "Na", "Na", "Na", "Na", "Na", "Na", "Na", "Na", "Na", "Na", "Na", "Na", "Na", "Na", "Na", "Na", "Ca", "Ca", "Ca", "Ca", "Ca", "Ca", "In", "In", "In", "In", "In", "In", "Si", "Si", "Si", "Si", "Si", "Si", "S", "S", "S", "S", "S", "S", "S", "S", "S", "S", "S", "S", "O", "O", "O", "O", "O", "O", "O", "O", "O", "O", "O", "O", "O", "O", "O", "O", "O", "O", "O", "O", "O", "O", "O", "O", "O", "O", "O", "O", "O", "O", "O", "O", "O", "O", "O", "O", "O", "O", "O", "O", "O", "O", "O", "O", "O", "O", "O", "O", "O", "O", "O", "O", "O", "O", "O", "O", "O", "O", "O", "O", "O", "O", "O", "O", "O", "O", "O", "O", "O", "O", "O", "O"],
  "frac_coords": [[0.135, 0.865, 0.500], [0.138, 0.512, 0.977], [0.142, 0.163, 0.577], [0.159, 0.792, 0.820], [0.163, 0.142, 0.077], [0.186, 0.846, 0.145], [0.197, 0.494, 0.673], [0.470, 0.524, 0.743], [0.494, 0.197, 0.173], [0.512, 0.138, 0.477], [0.524, 0.470, 0.243], [0.527, 0.830, 0.331], [0.792, 0.159, 0.320], [0.825, 0.846, 0.409], [0.830, 0.527, 0.831], [0.846, 0.186, 0.645], [0.846, 0.825, 0.909], [0.865, 0.135, 0.000], [0.156, 0.182, 0.427], [0.182, 0.156, 0.927], [0.506, 0.509, 0.093], [0.509, 0.506, 0.593], [0.835, 0.841, 0.760], [0.841, 0.835, 0.260], [0.162, 0.183, 0.229], [0.183, 0.162, 0.729], [0.479, 0.508, 0.895], [0.508, 0.479, 0.395], [0.841, 0.848, 0.564], [0.848, 0.841, 0.064], [0.143, 0.844, 0.665], [0.173, 0.467, 0.828], [0.188, 0.807, 0.997], [0.467, 0.173, 0.328], [0.807, 0.188, 0.497], [0.844, 0.143, 0.165], [0.137, 0.526, 0.157], [0.187, 0.855, 0.328], [0.198, 0.513, 0.496], [0.474, 0.853, 0.827], [0.510, 0.799, 0.489], [0.513, 0.198, 0.996], [0.526, 0.137, 0.657], [0.535, 0.846, 0.160], [0.799, 0.510, 0.989], [0.846, 0.535, 0.660], [0.853, 0.474, 0.327], [0.855, 0.187, 0.828], [0.002, 0.815, 0.993], [0.005, 0.651, 0.827], [0.007, 0.374, 0.656], [0.024, 0.144, 0.166], [0.024, 0.876, 0.605], [0.026, 0.660, 0.497], [0.043, 0.599, 0.101], [0.043, 0.625, 0.207], [0.046, 0.826, 0.323], [0.053, 0.827, 0.722], [0.144, 0.024, 0.666], [0.152, 0.996, 0.994], [0.159, 0.960, 0.380], [0.160, 0.378, 0.886], [0.168, 0.353, 0.159], [0.182, 0.363, 0.766], [0.194, 0.359, 0.489], [0.205, 0.936, 0.274], [0.277, 0.547, 0.445], [0.278, 0.692, 0.937], [0.282, 0.719, 0.056], [0.288, 0.503, 0.550], [0.301, 0.516, 0.157], [0.319, 0.675, 0.660], [0.336, 0.494, 0.825], [0.347, 0.695, 0.333], [0.353, 0.168, 0.659], [0.359, 0.194, 0.989], [0.363, 0.182, 0.266], [0.365, 0.970, 0.487], [0.370, 0.933, 0.774], [0.374, 0.007, 0.156], [0.378, 0.160, 0.386], [0.394, 0.947, 0.880], [0.486, 0.715, 0.539], [0.494, 0.336, 0.325], [0.494, 0.683, 0.829], [0.497, 0.710, 0.156], [0.503, 0.288, 0.050], [0.516, 0.301, 0.657], [0.522, 0.709, 0.433], [0.547, 0.277, 0.945], [0.599, 0.043, 0.601], [0.619, 0.835, 0.215], [0.625, 0.043, 0.707], [0.636, 0.844, 0.109], [0.642, 0.830, 0.822], [0.651, 0.005, 0.327], [0.660, 0.026, 0.997], [0.664, 0.810, 0.495], [0.675, 0.319, 0.160], [0.683, 0.494, 0.329], [0.692, 0.278, 0.437], [0.695, 0.347, 0.833], [0.709, 0.522, 0.933], [0.710, 0.497, 0.656], [0.715, 0.486, 0.039], [0.719, 0.282, 0.556], [0.810, 0.664, 0.995], [0.815, 0.002, 0.493], [0.826, 0.046, 0.823], [0.827, 0.053, 0.222], [0.830, 0.642, 0.322], [0.835, 0.619, 0.715], [0.844, 0.636, 0.609], [0.876, 0.024, 0.105], [0.933, 0.370, 0.274], [0.936, 0.205, 0.774], [0.947, 0.394, 0.380], [0.960, 0.159, 0.880], [0.970, 0.365, 0.987], [0.996, 0.152, 0.494]]
}



{
  "formula": "Na10Ca4In4Si3S9O48",
  "functional": "PBE",
  "state": "optimized geometry",
  "delta_e_f_ev_per_atom": -2.33,
  "lattice": [[9.279, 0.000, 0.000], [-0.032, 16.010, 0.000], [-0.049, -0.764, 23.368]],
  "species": ["Na", "Na", "Na", "Na", "Na", "Na", "Na", "Na", "Na", "Na", "Na", "Na", "Na", "Na", "Na", "Na", "Na", "Na", "Na", "Na", "Na", "Na", "Na", "Na", "Na", "Na", "Na", "Na", "Na", "Na", "Ca", "Ca", "Ca", "Ca", "Ca", "Ca", "Ca", "Ca", "Ca", "Ca", "Ca", "Ca", "In", "In", "In", "In", "In", "In", "In", "In", "In", "In", "In", "In", "Si", "Si", "Si", "Si", "Si", "Si", "Si", "Si", "Si", "S", "S", "S", "S", "S", "S", "S", "S", "S", "S", "S", "S", "S", "S", "S", "S", "S", "S", "S", "S", "S", "S", "S", "S", "S", "S", "S", "O", "O", "O", "O", "O", "O", "O", "O", "O", "O", "O", "O", "O", "O", "O", "O", "O", "O", "O", "O", "O", "O", "O", "O", "O", "O", "O", "O", "O", "O", "O", "O", "O", "O", "O", "O", "O", "O", "O", "O", "O", "O", "O", "O", "O", "O", "O", "O", "O", "O", "O", "O", "O", "O", "O", "O", "O", "O", "O", "O", "O", "O", "O", "O", "O", "O", "O", "O", "O", "O", "O", "O", "O", "O", "O", "O", "O", "O", "O", "O", "O", "O", "O", "O", "O", "O", "O", "O", "O", "O", "O", "O", "O", "O", "O", "O", "O", "O", "O", "O", "O", "O", "O", "O", "O", "O", "O", "O", "O", "O", "O", "O", "O", "O", "O", "O", "O", "O", "O", "O", "O", "O", "O", "O", "O", "O", "O", "O", "O", "O", "O", "O", "O", "O", "O", "O", "O", "O", "O", "O", "O", "O", "O", "O"],
  "frac_coords": [[0.000, 0.000, 0.000], [0.000, 0.667, 0.332], [0.019, 0.964, 0.660], [0.021, 0.634, 0.995], [0.036, 0.966, 0.312], [0.037, 0.299, 0.986], [0.041, 0.635, 0.645], [0.161, 0.483, 0.572], [0.164, 0.141, 0.904], [0.183, 0.822, 0.240], [0.204, 0.148, 0.407], [0.210, 0.477, 0.081], [0.210, 0.820, 0.738], [0.337, 0.633, 0.148], [0.343, 0.297, 0.483], [0.374, 0.001, 0.497], [0.498, 0.497, 0.001], [0.518, 0.130, 0.995], [0.519, 0.464, 0.660], [0.542, 0.135, 0.644], [0.650, 0.654, 0.908], [0.662, 0.983, 0.571], [0.673, 0.330, 0.236], [0.686, 0.649, 0.403], [0.692, 0.974, 0.078], [0.709, 0.320, 0.737], [0.831, 0.132, 0.150], [0.834, 0.800, 0.476], [0.871, 0.501, 0.497], [0.873, 0.832, 0.168], [0.176, 0.472, 0.722], [0.185, 0.140, 0.060], [0.187, 0.142, 0.557], [0.189, 0.806, 0.389], [0.194, 0.470, 0.221], [0.196, 0.806, 0.887], [0.676, 0.972, 0.722], [0.678, 0.642, 0.056], [0.684, 0.304, 0.387], [0.684, 0.975, 0.226], [0.686, 0.643, 0.556], [0.691, 0.307, 0.886], [0.189, 0.482, 0.421], [0.190, 0.136, 0.755], [0.190, 0.138, 0.252], [0.190, 0.483, 0.917], [0.196, 0.811, 0.087], [0.197, 0.805, 0.586], [0.684, 0.639, 0.256], [0.686, 0.310, 0.090], [0.689, 0.636, 0.755], [0.689, 0.977, 0.918], [0.689, 0.979, 0.418], [0.698, 0.304, 0.585], [0.038, 0.987, 0.153], [0.039, 0.657, 0.488], [0.333, 0.658, 0.988], [0.333, 0.988, 0.651], [0.542, 0.157, 0.489], [0.542, 0.490, 0.152], [0.832, 0.160, 0.990], [0.832, 0.488, 0.650], [0.833, 0.823, 0.321], [0.024, 0.626, 0.822], [0.031, 0.289, 0.155], [0.031, 0.957, 0.490], [0.049, 0.322, 0.823], [0.327, 0.322, 0.324], [0.343, 0.622, 0.322], [0.344, 0.291, 0.657], [0.346, 0.959, 0.988], [0.379, 0.983, 0.324], [0.387, 0.312, 0.987], [0.389, 0.645, 0.659], [0.491, 0.146, 0.156], [0.491, 0.480, 0.821], [0.491, 0.813, 0.489], [0.525, 0.125, 0.823], [0.530, 0.455, 0.489], [0.532, 0.791, 0.157], [0.549, 0.821, 0.822], [0.844, 0.791, 0.657], [0.846, 0.457, 0.988], [0.851, 0.126, 0.320], [0.889, 0.145, 0.660], [0.890, 0.813, 0.988], [0.891, 0.477, 0.324], [0.990, 0.645, 0.155], [0.990, 0.980, 0.822], [0.992, 0.313, 0.487], [0.006, 0.486, 0.658], [0.007, 0.791, 0.656], [0.008, 0.146, 0.993], [0.008, 0.456, 0.980], [0.010, 0.814, 0.324], [0.015, 0.128, 0.319], [0.054, 0.577, 0.875], [0.063, 0.907, 0.542], [0.068, 0.040, 0.097], [0.073, 0.710, 0.433], [0.074, 0.236, 0.204], [0.077, 0.060, 0.823], [0.080, 0.582, 0.771], [0.082, 0.723, 0.155], [0.083, 0.375, 0.162], [0.085, 0.907, 0.825], [0.086, 0.572, 0.159], [0.087, 0.240, 0.492], [0.087, 0.255, 0.101], [0.087, 0.390, 0.484], [0.087, 0.710, 0.826], [0.089, 0.371, 0.775], [0.090, 0.042, 0.495], [0.095, 0.918, 0.439], [0.103, 0.031, 0.214], [0.104, 0.700, 0.550], [0.105, 0.363, 0.879], [0.108, 0.560, 0.487], [0.108, 0.891, 0.150], [0.119, 0.237, 0.820], [0.243, 0.032, 0.707], [0.249, 0.562, 0.986], [0.249, 0.895, 0.648], [0.256, 0.237, 0.319], [0.261, 0.697, 0.050], [0.271, 0.361, 0.379], [0.274, 0.705, 0.328], [0.277, 0.920, 0.937], [0.282, 0.711, 0.936], [0.282, 0.909, 0.325], [0.283, 0.582, 0.269], [0.285, 0.257, 0.603], [0.286, 0.060, 0.322], [0.286, 0.716, 0.657], [0.287, 0.372, 0.275], [0.288, 0.386, 0.983], [0.290, 0.046, 0.994], [0.296, 0.379, 0.664], [0.298, 0.235, 0.992], [0.301, 0.239, 0.707], [0.303, 0.566, 0.663], [0.304, 0.040, 0.594], [0.310, 0.571, 0.373], [0.319, 0.912, 0.040], [0.362, 0.131, 0.821], [0.365, 0.147, 0.492], [0.366, 0.486, 0.158], [0.367, 0.454, 0.482], [0.370, 0.792, 0.153], [0.391, 0.813, 0.825], [0.393, 0.156, 0.206], [0.400, 0.473, 0.770], [0.400, 0.486, 0.875], [0.401, 0.826, 0.542], [0.402, 0.805, 0.438], [0.410, 0.140, 0.101], [0.465, 0.991, 0.378], [0.472, 0.976, 0.274], [0.476, 0.329, 0.039], [0.477, 0.636, 0.608], [0.478, 0.301, 0.936], [0.479, 0.658, 0.712], [0.485, 0.314, 0.326], [0.502, 0.631, 0.321], [0.506, 0.291, 0.657], [0.506, 0.639, 0.989], [0.507, 0.986, 0.658], [0.508, 0.966, 0.982], [0.554, 0.407, 0.543], [0.557, 0.076, 0.876], [0.563, 0.740, 0.208], [0.568, 0.538, 0.093], [0.574, 0.223, 0.441], [0.578, 0.559, 0.822], [0.579, 0.082, 0.771], [0.582, 0.070, 0.160], [0.583, 0.542, 0.495], [0.583, 0.891, 0.488], [0.586, 0.407, 0.824], [0.586, 0.869, 0.772], [0.587, 0.740, 0.493], [0.588, 0.209, 0.827], [0.588, 0.877, 0.163], [0.589, 0.220, 0.157], [0.597, 0.753, 0.105], [0.601, 0.415, 0.440], [0.605, 0.195, 0.554], [0.608, 0.863, 0.876], [0.611, 0.061, 0.482], [0.612, 0.540, 0.209], [0.618, 0.395, 0.151], [0.618, 0.736, 0.819], [0.742, 0.532, 0.707], [0.748, 0.395, 0.647], [0.753, 0.065, 0.983], [0.754, 0.199, 0.050], [0.764, 0.725, 0.318], [0.769, 0.869, 0.381], [0.771, 0.422, 0.937], [0.784, 0.756, 0.603], [0.787, 0.217, 0.657], [0.794, 0.405, 0.326], [0.795, 0.211, 0.327], [0.795, 0.889, 0.984], [0.796, 0.089, 0.266], [0.797, 0.879, 0.664], [0.800, 0.222, 0.939], [0.800, 0.545, 0.996], [0.803, 0.739, 0.707], [0.803, 0.877, 0.265], [0.804, 0.066, 0.663], [0.804, 0.540, 0.593], [0.804, 0.735, 0.992], [0.808, 0.557, 0.323], [0.818, 0.073, 0.370], [0.820, 0.406, 0.039], [0.861, 0.978, 0.157], [0.862, 0.632, 0.820], [0.862, 0.649, 0.491], [0.869, 0.287, 0.155], [0.869, 0.959, 0.486], [0.891, 0.313, 0.826], [0.896, 0.656, 0.207], [0.898, 0.987, 0.875], [0.900, 0.304, 0.436], [0.900, 0.973, 0.770], [0.904, 0.329, 0.540], [0.905, 0.638, 0.102], [0.977, 0.829, 0.042], [0.978, 0.137, 0.608], [0.980, 0.159, 0.712], [0.980, 0.486, 0.379], [0.985, 0.804, 0.938], [0.986, 0.469, 0.274]]
}



Listing DFT total energy for the structures above in their given order: -6.052 -6.056 eV/atom.